Here is an optimized crystal structure of NdInPd from the Materials Project. Energies are from GGA-PBE.

Lattice parameters (Å, degrees): 8.148 8.148 3.842 90.54 90.54 59.30
Positions (direct):
Nd 0.000 0.000 0.000
Nd 0.282 0.438 0.004
Nd 0.562 0.718 0.996
In 0.279 0.102 0.504
In 0.662 0.338 0.500
In 0.898 0.721 0.496
Pd 0.281 0.719 0.500
Pd 0.616 0.050 0.984
Pd 0.950 0.384 0.016

Computed properties:
Space group: C2, No. 5
Uncorrected energy, eV per cell: -42.9
Total magnetic moment, μB/f.u.: 0.00

***

Here is an optimized crystal structure of Nd2In8Pd from the Materials Project. Energies are from GGA-PBE.

Lattice parameters (Å, degrees): 4.735 4.735 12.423 90.00 90.00 90.00
Positions (direct):
Nd 0.000 0.000 0.191
Nd 0.000 0.000 0.809
In 0.000 0.500 0.000
In 0.000 0.500 0.377
In 0.000 0.500 0.623
In 0.500 0.000 0.000
In 0.500 0.000 0.377
In 0.500 0.000 0.623
In 0.500 0.500 0.192
In 0.500 0.500 0.808
Pd 0.000 0.000 0.500

Computed properties:
Space group: P4/mmm, No. 123
Uncorrected energy, eV per cell: -41.6

***

Here is an optimized crystal structure of NdInPd from the Materials Project. Energies are from GGA-PBE.

Lattice parameters (Å, degrees): 3.842 8.061 8.146 60.37 88.82 88.70
Positions (direct):
Nd 0.000 0.000 0.000
Nd 0.002 0.282 0.438
Nd 0.005 0.720 0.718
In 0.501 0.381 0.720
In 0.501 0.618 0.099
In 0.503 0.999 0.338
Pd 0.007 0.669 0.385
Pd 0.503 0.001 0.719
Pd 0.989 0.336 0.053

Computed properties:
Space group: P1, No. 1
Uncorrected energy, eV per cell: -42.9
Total magnetic moment, μB/f.u.: 0.00

***

Here is an optimized crystal structure of NdIn4Pd2 from the Materials Project. Energies are from GGA-PBE.

Lattice parameters (Å, degrees): 4.619 10.034 33.484 90.00 90.00 90.00
Positions (direct):
Nd 0.000 0.043 0.000
Nd 0.000 0.173 0.699
Nd 0.000 0.217 0.299
Nd 0.000 0.783 0.799
Nd 0.000 0.827 0.199
Nd 0.000 0.957 0.500
Nd 0.500 0.296 0.861
Nd 0.500 0.455 0.560
Nd 0.500 0.545 0.060
Nd 0.500 0.704 0.361
In 0.000 0.035 0.111
In 0.000 0.119 0.800
In 0.000 0.174 0.195
In 0.000 0.193 0.413
In 0.000 0.288 0.929
In 0.000 0.308 0.502
In 0.000 0.385 0.012
In 0.000 0.447 0.632
In 0.000 0.470 0.370
In 0.000 0.473 0.223
In 0.000 0.527 0.723
In 0.000 0.530 0.870
In 0.000 0.553 0.132
In 0.000 0.615 0.512
In 0.000 0.692 0.002
In 0.000 0.712 0.429
In 0.000 0.807 0.913
In 0.000 0.826 0.695
In 0.000 0.881 0.300
In 0.000 0.965 0.611
In 0.500 0.022 0.252
In 0.500 0.049 0.931
In 0.500 0.052 0.347
In 0.500 0.121 0.545
In 0.500 0.193 0.057
In 0.500 0.203 0.631
In 0.500 0.297 0.756
In 0.500 0.328 0.142
In 0.500 0.439 0.298
In 0.500 0.466 0.444
In 0.500 0.534 0.944
In 0.500 0.561 0.798
In 0.500 0.672 0.642
In 0.500 0.703 0.256
In 0.500 0.797 0.131
In 0.500 0.807 0.557
In 0.500 0.879 0.045
In 0.500 0.948 0.847
In 0.500 0.951 0.431
In 0.500 0.978 0.752
Pd 0.000 0.062 0.881
Pd 0.000 0.223 0.582
Pd 0.000 0.304 0.092
Pd 0.000 0.393 0.796
Pd 0.000 0.607 0.296
Pd 0.000 0.696 0.592
Pd 0.000 0.777 0.082
Pd 0.000 0.938 0.381
Pd 0.500 0.047 0.167
Pd 0.500 0.202 0.466
Pd 0.500 0.285 0.977
Pd 0.500 0.293 0.227
Pd 0.500 0.316 0.374
Pd 0.500 0.422 0.682
Pd 0.500 0.578 0.182
Pd 0.500 0.684 0.874
Pd 0.500 0.707 0.727
Pd 0.500 0.715 0.477
Pd 0.500 0.798 0.966
Pd 0.500 0.953 0.667

Computed properties:
Space group: Pmc2_1, No. 26
Uncorrected energy, eV per cell: -301.4
Total magnetic moment, μB/f.u.: 0.00

***

Here is an optimized crystal structure of PmNdIn2 from the Materials Project. Energies are from GGA-PBE.

Lattice parameters (Å, degrees): 5.476 5.476 5.476 60.00 60.00 60.00
Positions (direct):
Pm 0.000 0.000 0.000
Nd 0.500 0.500 0.500
In 0.250 0.250 0.250
In 0.750 0.750 0.750

Computed properties:
Space group: Fm-3m, No. 225
Uncorrected energy, eV per cell: -17.0

***

Here is an optimized crystal structure of PrNdIn2 from the Materials Project. Energies are from GGA-PBE.

Lattice parameters (Å, degrees): 5.509 5.509 5.509 60.00 60.00 60.00
Positions (direct):
Pr 0.000 0.000 0.000
Nd 0.500 0.500 0.500
In 0.250 0.250 0.250
In 0.750 0.750 0.750

Computed properties:
Space group: Fm-3m, No. 225
Uncorrected energy, eV per cell: -17.0

***

Here is an optimized crystal structure of NdIn3Pt from the Materials Project. Energies are from GGA-PBE.

Lattice parameters (Å, degrees): 9.867 9.867 9.867 90.00 90.00 90.00
Positions (direct):
Nd 0.000 0.000 0.000
Nd 0.000 0.250 0.500
Nd 0.000 0.750 0.500
Nd 0.250 0.500 0.000
Nd 0.500 0.000 0.250
Nd 0.500 0.000 0.750
Nd 0.500 0.500 0.500
Nd 0.750 0.500 0.000
In 0.000 0.316 0.153
In 0.000 0.316 0.847
In 0.000 0.684 0.153
In 0.000 0.684 0.847
In 0.153 0.000 0.316
In 0.153 0.000 0.684
In 0.184 0.500 0.347
In 0.184 0.500 0.653
In 0.316 0.153 0.000
In 0.316 0.847 0.000
In 0.347 0.184 0.500
In 0.347 0.816 0.500
In 0.500 0.347 0.184
In 0.500 0.347 0.816
In 0.500 0.653 0.184
In 0.500 0.653 0.816
In 0.653 0.184 0.500
In 0.653 0.816 0.500
In 0.684 0.153 0.000
In 0.684 0.847 0.000
In 0.816 0.500 0.347
In 0.816 0.500 0.653
In 0.847 0.000 0.316
In 0.847 0.000 0.684
Pt 0.250 0.250 0.250
Pt 0.250 0.250 0.750
Pt 0.250 0.750 0.250
Pt 0.250 0.750 0.750
Pt 0.750 0.250 0.250
Pt 0.750 0.250 0.750
Pt 0.750 0.750 0.250
Pt 0.750 0.750 0.750

Computed properties:
Space group: Pm-3n, No. 223
Uncorrected energy, eV per cell: -176.2
Total magnetic moment, μB/f.u.: 0.00

***

Here is an optimized crystal structure of NdInPt from the Materials Project. Energies are from GGA-PBE.

Lattice parameters (Å, degrees): 7.734 7.734 4.099 90.00 90.00 120.00
Positions (direct):
Nd 0.000 0.588 0.000
Nd 0.412 0.412 0.000
Nd 0.588 0.000 0.000
In 0.000 0.251 0.500
In 0.251 0.000 0.500
In 0.749 0.749 0.500
Pt 0.000 0.000 0.000
Pt 0.333 0.667 0.500
Pt 0.667 0.333 0.500

Computed properties:
Space group: P-62m, No. 189
Uncorrected energy, eV per cell: -49.3

***

no.,density (g/cm3),volume (Å³ per atom),formation enthalpy at 0 K (kcal/mol of atoms)
1,8.30,24.364,-12.2
2,7.83,25.322,-10.3
3,8.31,24.358,-12.2
4,8.74,22.167,-13.2
5,7.42,29.028,-11.1
6,7.23,29.562,-11.1
7,9.45,24.018,-13.5
8,10.66,23.590,-21.9